# AlN3Cl3 GGA-PBE relaxed
# Calculated total energy in eV per atom: -3.944
# Crystal system: triclinic
# Total energy after the MP2020 corrections in eV per atom: -4.207
# DFT formation energy in eV/atom: 0.693
data_AlN3Cl3
_chemical_formula_sum 'Al2 N6 Cl6'
_symmetry_space_group_name_H-M 'P -1'
_symmetry_Int_Tables_number 2
_cell_length_a 4.7014
_cell_length_b 7.0984
_cell_length_c 9.3495
_cell_angle_alpha 86.20
_cell_angle_beta 82.83
_cell_angle_gamma 88.38
loop_
_symmetry_equiv_pos_as_xyz
'x,y,z'
'-x,-y,-z'
loop_
_atom_site_label
_atom_site_fract_x
_atom_site_fract_y
_atom_site_fract_z
Al1 0.0000 0.0000 0.0000
Al2 0.0000 0.5000 0.5000
N1 0.0315 0.4901 0.7064
N2 0.2730 0.7922 0.9874
N3 0.2815 0.6908 0.4670
Cl1 0.0072 0.9977 0.2350
Cl2 0.4286 0.2598 0.9509
Cl3 0.4694 0.2654 0.4380